This record from the Materials Project database describes a relaxed Y2Al3Co14 crystal. The functional is PBE.

abc: 8.3659 8.3659 8.1733
angles: 90.00 90.00 120.00
Last column: nearest neighbours and their distance in Å.
Fractional coordinates of all 38 atoms:
Y 0.0000 0.0000 0.2500  18 Co 2.93-3.19
Y 0.0000 0.0000 0.7500  18 Co 2.93-3.19
Y 0.3333 0.6667 0.2500  14 Co 2.95-3.14, 6 Al 3.16
Y 0.6667 0.3333 0.7500  14 Co 2.95-3.14, 6 Al 3.16
Al 0.0000 0.5000 0.0000  10 Co 2.42-2.58
Al 0.0000 0.5000 0.5000  10 Co 2.42-2.58
Al 0.5000 0.0000 0.0000  10 Co 2.42-2.58
Al 0.5000 0.0000 0.5000  10 Co 2.42-2.58
Al 0.5000 0.5000 0.0000  10 Co 2.42-2.58
Al 0.5000 0.5000 0.5000  10 Co 2.42-2.58
Co 0.0431 0.3701 0.7500  6 Co 2.38-2.60, 2 Al 2.42
Co 0.0431 0.6730 0.7500  6 Co 2.38-2.60, 2 Al 2.42
Co 0.1625 0.3250 0.0129  6 Co 2.36-2.60, 2 Al 2.45
Co 0.1625 0.3250 0.4871  6 Co 2.36-2.60, 2 Al 2.45
Co 0.1625 0.8375 0.0129  6 Co 2.36-2.60, 2 Al 2.45
Co 0.1625 0.8375 0.4871  6 Co 2.36-2.60, 2 Al 2.45
Co 0.3250 0.1625 0.5129  6 Co 2.36-2.60, 2 Al 2.45
Co 0.3250 0.1625 0.9871  6 Co 2.36-2.60, 2 Al 2.45
Co 0.3270 0.3701 0.7500  6 Co 2.38-2.60, 2 Al 2.42
Co 0.3270 0.9569 0.7500  6 Co 2.38-2.60, 2 Al 2.42
Co 0.3333 0.6667 0.6103  1 Co 2.28
Co 0.3333 0.6667 0.8897  1 Co 2.28
Co 0.3701 0.0431 0.2500  6 Co 2.38-2.60, 2 Al 2.42
Co 0.3701 0.3270 0.2500  6 Co 2.38-2.60, 2 Al 2.42
Co 0.6299 0.6730 0.7500  6 Co 2.38-2.60, 2 Al 2.42
Co 0.6299 0.9569 0.7500  6 Co 2.38-2.60, 2 Al 2.42
Co 0.6667 0.3333 0.1103  1 Co 2.28
Co 0.6667 0.3333 0.3897  1 Co 2.28
Co 0.6730 0.0431 0.2500  6 Co 2.38-2.60, 2 Al 2.42
Co 0.6730 0.6299 0.2500  6 Co 2.38-2.60, 2 Al 2.42
Co 0.6750 0.8375 0.0129  6 Co 2.36-2.60, 2 Al 2.45
Co 0.6750 0.8375 0.4871  6 Co 2.36-2.60, 2 Al 2.45
Co 0.8375 0.1625 0.5129  6 Co 2.36-2.60, 2 Al 2.45
Co 0.8375 0.1625 0.9871  6 Co 2.36-2.60, 2 Al 2.45
Co 0.8375 0.6750 0.5129  6 Co 2.36-2.60, 2 Al 2.45
Co 0.8375 0.6750 0.9871  6 Co 2.36-2.60, 2 Al 2.45
Co 0.9569 0.3270 0.2500  6 Co 2.38-2.60, 2 Al 2.42
Co 0.9569 0.6299 0.2500  6 Co 2.38-2.60, 2 Al 2.42

Computed properties:
Spin magnetization = 0.880 μB per atom
V = 495 Å³ per cell
Calculated formation energy = -208 meV per atom
SG = No. 194
VASP energy = -255.29 eV/cell

---

This record from the Materials Project database describes a relaxed Y2AlCo3 crystal. The functional is PBE.

abc: 4.9899 4.9899 4.9899
angles: 64.95 64.95 64.95
Last column: nearest neighbours and their distance in Å.
Fractional coordinates of all 6 atoms:
Y 0.1286 0.1286 0.1286  9 Co 2.86-3.08, 1 Y 3.02, 3 Al 3.13
Y 0.8714 0.8714 0.8714  9 Co 2.86-3.08, 1 Y 3.02, 3 Al 3.13
Al 0.5000 0.5000 0.5000  6 Co 2.49
Co 0.0000 0.5000 0.5000  2 Al 2.49, 4 Co 2.68
Co 0.5000 0.0000 0.5000  2 Al 2.49, 4 Co 2.68
Co 0.5000 0.5000 0.0000  2 Al 2.49, 4 Co 2.68

Computed properties:
Spin magnetization = 0.000 μB per atom
V = 97 Å³ per cell
Calculated formation energy = -287 meV per atom
SG = No. 166
VASP energy = -39.72 eV/cell

---

This record from the Materials Project database describes a relaxed Zr3AlCo8 crystal. The functional is PBE.

abc: 8.4140 8.4140 8.4140
angles: 33.51 33.51 33.51
Last column: nearest neighbours and their distance in Å.
Fractional coordinates of all 12 atoms:
Zr 0.0000 0.0000 0.0000  12 Co 2.85-2.89, 4 Zr 3.03-3.05
Zr 0.1283 0.1283 0.1283  12 Co 2.74-2.89, 3 Al 2.93, 1 Zr 3.05
Zr 0.6185 0.6185 0.6185  12 Co 2.79-3.00, 1 Al 2.87, 3 Zr 3.03
Al 0.4977 0.4977 0.4977  12 Co 2.79-2.85, 4 Zr 2.87-2.93
Co 0.0597 0.0597 0.5617  6 Co 2.39-2.46
Co 0.0597 0.5617 0.0597  6 Co 2.39-2.46
Co 0.0667 0.5606 0.5606  6 Co 2.40-2.46
Co 0.3117 0.3117 0.3117  6 Co 2.44-2.46
Co 0.5606 0.0667 0.5606  6 Co 2.40-2.46
Co 0.5606 0.5606 0.0667  6 Co 2.40-2.46
Co 0.5617 0.0597 0.0597  6 Co 2.39-2.46
Co 0.8120 0.8120 0.8120  6 Co 2.39-2.43

Computed properties:
Spin magnetization = 0.400 μB per atom
V = 162 Å³ per cell
Calculated formation energy = -321 meV per atom
SG = No. 160
VASP energy = -90.11 eV/cell

---

This record from the Materials Project database describes a relaxed ZrAlCo crystal. The functional is PBE.

abc: 8.1676 5.1588 5.1588
angles: 60.76 90.00 90.00
Last column: nearest neighbours and their distance in Å.
Fractional coordinates of all 12 atoms:
Zr 0.1727 0.0000 0.0000  4 Zr 2.82-3.14, 7 Co 2.92-3.04, 5 Al 2.92-3.09
Zr 0.2887 0.3352 0.3352  3 Co 2.76-2.78, 3 Al 3.00-3.07
Zr 0.7113 0.3352 0.3352  3 Co 2.76-2.78, 3 Al 3.00-3.07
Zr 0.8273 0.0000 0.0000  4 Zr 2.82-3.14, 7 Co 2.92-3.04, 5 Al 2.92-3.09
Al 0.2343 0.6765 0.6765  4 Co 2.46-2.60, 2 Al 2.68
Al 0.5000 0.3264 0.8360  2 Co 2.53-2.63, 4 Al 2.56-2.68
Al 0.5000 0.8360 0.3264  2 Co 2.53-2.63, 4 Al 2.56-2.68
Al 0.7657 0.6765 0.6765  4 Co 2.46-2.60, 2 Al 2.68
Co 0.0000 0.0187 0.4956  2 Al 2.46, 4 Co 2.49-2.73
Co 0.0000 0.4956 0.0187  2 Al 2.46, 4 Co 2.49-2.73
Co 0.0000 0.4999 0.4999  2 Al 2.48, 4 Co 2.49-2.67
Co 0.5000 0.8364 0.8364  6 Al 2.53-2.63

Computed properties:
Spin magnetization = 0.000 μB per atom
V = 190 Å³ per cell
Calculated formation energy = -481 meV per atom
SG = No. 38
VASP energy = -83.38 eV/cell

---

This record from the Materials Project database describes a relaxed Zr6Al2Co crystal. The functional is PBE.

abc: 7.9591 7.9591 3.3311
angles: 90.00 90.00 120.00
Last column: nearest neighbours and their distance in Å.
Fractional coordinates of all 9 atoms:
Zr 0.0000 0.2502 0.0000  2 Co 2.60
Zr 0.0000 0.5985 0.5000  4 Al 2.94, 1 Co 3.20, 6 Zr 3.23-3.25
Zr 0.2502 0.0000 0.0000  2 Co 2.60
Zr 0.4015 0.4015 0.5000  4 Al 2.94, 1 Co 3.20, 6 Zr 3.23-3.25
Zr 0.5985 0.0000 0.5000  4 Al 2.94, 1 Co 3.20, 6 Zr 3.23-3.25
Zr 0.7498 0.7498 0.0000  2 Co 2.60
Al 0.3333 0.6667 0.0000  9 Zr 2.94-3.04
Al 0.6667 0.3333 0.0000  9 Zr 2.94-3.04
Co 0.0000 0.0000 0.5000  6 Zr 2.60

Computed properties:
V = 183 Å³ per cell
Calculated formation energy = -343 meV per atom
SG = No. 189
VASP energy = -68.97 eV/cell

---

This record from the Materials Project database describes a relaxed ZrAlCo4 crystal. The functional is PBE.

abc: 4.7781 4.7781 4.7781
angles: 60.00 60.00 60.00
Last column: nearest neighbours and their distance in Å.
Fractional coordinates of all 6 atoms:
Zr 0.0000 0.0000 0.0000  12 Co 2.80, 4 Al 2.93
Al 0.7500 0.7500 0.7500  12 Co 2.80, 4 Zr 2.93
Co 0.3767 0.3767 0.3767  6 Co 2.36-2.42
Co 0.3767 0.3767 0.8699  6 Co 2.36-2.42
Co 0.3767 0.8699 0.3767  6 Co 2.36-2.42
Co 0.8699 0.3767 0.3767  6 Co 2.36-2.42

Computed properties:
Spin magnetization = 0.524 μB per atom
V = 77 Å³ per cell
Calculated formation energy = -330 meV per atom
SG = No. 216
VASP energy = -42.71 eV/cell